Record 1
ScBr3O7: relaxed, PBE.

Cell: 5.4626 8.3710 8.6654 Å, 90.00 119.55 90.00°
Space group P2/c (No. 13)
Unique sites:
Sc (0.0000, 0.1544, 0.2500) x2
Br (0.2044, 0.2465, 0.9882) x4
Br (0.5000, 0.2577, 0.7500) x2
O (0.0000, 0.0801, 0.7500) x2
O (0.1390, 0.3621, 0.1279) x4
O (0.2323, 0.0795, 0.1045) x4
O (0.4231, 0.2386, 0.4877) x4

As for the formation energy: -8.84 eV per formula unit.

---

Record 2
ScBr3O7: relaxed, PBE.

Cell: 6.5659 9.1602 9.6913 Å, 90.00 131.56 90.00°
Space group P2/c (No. 13)
Unique sites:
Sc (0.0000, 0.1414, 0.2500) x2
Br (0.2612, 0.1716, 0.0147) x4
Br (0.5000, 0.2320, 0.7500) x2
O (0.0000, 0.0906, 0.7500) x2
O (0.1229, 0.4972, 0.2915) x4
O (0.1518, 0.2112, 0.5018) x4
O (0.3772, 0.1801, 0.3284) x4

As for the formation energy: -6.40 eV per formula unit.

---

Total magnetic moment readings, ordered: 0.00, 5.70 μB per cell